(1)
Compound: SrMg14NiO16
Source: the Materials Project database
Functional: PBE with a Hubbard U
Structure: relaxed

Lattice parameters (Å, degrees): 8.652 8.637 4.394 90.00 90.00 90.00
Element x y z (fractional)
Sr 0.000 0.500 0.000
Mg 0.500 0.000 0.000
Mg 0.500 0.500 0.000
Mg 0.000 0.240 0.500
Mg 0.000 0.760 0.500
Mg 0.500 0.248 0.500
Mg 0.500 0.752 0.500
Mg 0.250 0.000 0.500
Mg 0.259 0.500 0.500
Mg 0.750 0.000 0.500
Mg 0.741 0.500 0.500
Mg 0.256 0.244 0.000
Mg 0.256 0.756 0.000
Mg 0.744 0.244 0.000
Mg 0.744 0.756 0.000
Ni 0.000 0.000 0.000
O 0.256 0.000 0.000
O 0.271 0.500 0.000
O 0.744 0.000 0.000
O 0.729 0.500 0.000
O 0.250 0.250 0.500
O 0.250 0.750 0.500
O 0.750 0.250 0.500
O 0.750 0.750 0.500
O 0.000 0.000 0.500
O 0.000 0.500 0.500
O 0.500 0.000 0.500
O 0.500 0.500 0.500
O 0.000 0.229 0.000
O 0.000 0.771 0.000
O 0.500 0.246 0.000
O 0.500 0.754 0.000

Values from the calculation:
Symmetry: No. 47

---

(2)
Compound: SrMgNi4O8
Source: the Materials Project database
Functional: PBE with a Hubbard U
Structure: relaxed

Lattice parameters (Å, degrees): 6.380 6.330 6.380 55.50 56.26 55.50
Element x y z (fractional)
Sr 0.500 0.500 0.500
Mg 0.000 0.500 0.000
Ni 0.000 0.000 0.000
Ni 0.500 0.000 0.500
Ni 0.500 0.500 0.000
Ni 0.000 0.500 0.500
O 0.767 0.293 0.767
O 0.205 0.264 0.735
O 0.233 0.707 0.233
O 0.735 0.264 0.205
O 0.258 0.293 0.258
O 0.742 0.707 0.742
O 0.795 0.736 0.265
O 0.265 0.736 0.795

Values from the calculation:
Symmetry: No. 12

---

(3)
Compound: SrMgNiO3
Source: the Materials Project database
Functional: PBE with a Hubbard U
Structure: relaxed

Lattice parameters (Å, degrees): 5.981 5.977 3.337 73.60 73.60 40.92
Element x y z (fractional)
Sr 0.872 0.180 0.631
Mg 0.181 0.489 0.327
Ni 0.558 0.865 0.951
O 0.678 0.985 0.334
O 0.371 0.679 0.109
O 0.071 0.379 0.941

Values from the calculation:
Symmetry: No. 8

---

(4)
Compound: SrMgNi4O8
Source: the Materials Project database
Functional: PBE with a Hubbard U
Structure: relaxed

Lattice parameters (Å, degrees): 6.413 6.493 6.413 53.94 55.80 53.94
Element x y z (fractional)
Sr 0.501 0.499 0.501
Mg 0.864 0.829 0.864
Ni 0.005 0.012 0.005
Ni 0.497 0.001 0.497
Ni 0.493 0.501 0.004
Ni 0.004 0.501 0.493
O 0.783 0.224 0.783
O 0.222 0.239 0.722
O 0.222 0.761 0.222
O 0.722 0.239 0.222
O 0.268 0.290 0.268
O 0.734 0.716 0.734
O 0.782 0.765 0.254
O 0.254 0.765 0.782

Values from the calculation:
Symmetry: No. 8

---

(5)
Compound: SrMg14NiO16
Source: the Materials Project database
Functional: PBE with a Hubbard U
Structure: relaxed

Lattice parameters (Å, degrees): 8.637 8.637 4.388 90.00 90.00 90.00
Element x y z (fractional)
Sr 0.500 0.500 0.000
Mg 0.000 0.500 0.000
Mg 0.500 0.000 0.000
Mg 0.000 0.248 0.500
Mg 0.000 0.752 0.500
Mg 0.500 0.240 0.500
Mg 0.500 0.760 0.500
Mg 0.248 0.000 0.500
Mg 0.240 0.500 0.500
Mg 0.752 0.000 0.500
Mg 0.760 0.500 0.500
Mg 0.243 0.243 0.000
Mg 0.243 0.757 0.000
Mg 0.757 0.243 0.000
Mg 0.757 0.757 0.000
Ni 0.000 0.000 0.000
O 0.246 0.000 0.000
O 0.228 0.500 0.000
O 0.754 0.000 0.000
O 0.772 0.500 0.000
O 0.249 0.249 0.500
O 0.249 0.751 0.500
O 0.751 0.249 0.500
O 0.751 0.751 0.500
O 0.000 0.000 0.500
O 0.000 0.500 0.500
O 0.500 0.000 0.500
O 0.500 0.500 0.500
O 0.000 0.246 0.000
O 0.000 0.754 0.000
O 0.500 0.228 0.000
O 0.500 0.772 0.000

Values from the calculation:
Symmetry: No. 123

---

(6)
Compound: Mg2Ta2NiO8
Source: the Materials Project database
Functional: PBE with a Hubbard U
Structure: relaxed

Lattice parameters (Å, degrees): 5.196 5.981 19.003 90.00 90.21 90.00
Element x y z (fractional)
Mg 0.755 0.144 0.272
Mg 0.755 0.644 0.772
Mg 0.745 0.644 0.227
Mg 0.745 0.144 0.727
Mg 0.246 0.357 0.227
Mg 0.246 0.857 0.727
Mg 0.255 0.857 0.272
Mg 0.255 0.357 0.772
Ta 0.743 0.165 0.114
Ta 0.743 0.665 0.614
Ta 0.757 0.665 0.385
Ta 0.757 0.165 0.885
Ta 0.257 0.336 0.385
Ta 0.257 0.836 0.885
Ta 0.243 0.836 0.114
Ta 0.243 0.336 0.614
Ni 0.750 0.642 0.000
Ni 0.250 0.359 0.000
Ni 0.750 0.142 0.500
Ni 0.250 0.859 0.500
O 0.081 0.114 0.070
O 0.081 0.614 0.570
O 0.420 0.614 0.429
O 0.420 0.114 0.929
O 0.920 0.386 0.429
O 0.920 0.886 0.929
O 0.581 0.887 0.070
O 0.581 0.387 0.570
O 0.586 0.376 0.058
O 0.586 0.876 0.558
O 0.914 0.876 0.442
O 0.914 0.376 0.942
O 0.414 0.124 0.442
O 0.414 0.624 0.941
O 0.086 0.625 0.058
O 0.086 0.125 0.558
O 0.456 0.103 0.185
O 0.456 0.603 0.685
O 0.045 0.603 0.314
O 0.045 0.103 0.814
O 0.956 0.898 0.185
O 0.956 0.398 0.685
O 0.545 0.397 0.314
O 0.545 0.897 0.814
O 0.380 0.646 0.190
O 0.380 0.146 0.690
O 0.120 0.146 0.309
O 0.120 0.646 0.809
O 0.620 0.854 0.309
O 0.620 0.354 0.809
O 0.880 0.355 0.190
O 0.880 0.855 0.690

---

(7)
Compound: Mg2Ta2Ni2O9
Source: the Materials Project database
Functional: PBE with a Hubbard U
Structure: relaxed

Lattice parameters (Å, degrees): 5.194 5.194 14.129 90.00 90.00 120.00
Element x y z (fractional)
Mg 0.333 0.667 0.190
Mg 0.333 0.667 0.690
Mg 0.667 0.333 0.810
Mg 0.667 0.333 0.310
Ta 0.000 0.000 0.143
Ta 0.000 0.000 0.643
Ta 0.000 0.000 0.857
Ta 0.000 0.000 0.357
Ni 0.333 0.667 0.487
Ni 0.333 0.667 0.987
Ni 0.667 0.333 0.513
Ni 0.667 0.333 0.013
O 0.347 0.026 0.415
O 0.679 0.653 0.415
O 0.974 0.321 0.415
O 0.679 0.026 0.915
O 0.347 0.321 0.915
O 0.974 0.653 0.915
O 0.653 0.974 0.585
O 0.321 0.347 0.585
O 0.026 0.679 0.585
O 0.321 0.974 0.085
O 0.653 0.679 0.085
O 0.026 0.347 0.085
O 0.289 0.289 0.250
O 0.000 0.711 0.250
O 0.711 0.000 0.250
O 0.000 0.289 0.750
O 0.289 0.000 0.750
O 0.711 0.711 0.750

Values from the calculation:
Symmetry: No. 165

---

no.,energy of formation from the pure elements (meV/atom),uncorrected energy (eV/atom)
1,-2849,-5.83
2,-1439,-5.03
3,-2339,-5.56
4,-1439,-5.03
5,-2848,-5.83
6,-2957,-7.90
7,-2729,-7.51